SrLa3Cr4O12 (PBE+U, optimized geometry); space-group type = P2 (3); polymorph energy (0 for the lowest one) = 12 meV per atom
1.0
2.789 1.611 4.473
-5.599 -3.232 4.491
2.789 -4.831 0.000
Cr O Sr La
4 12 1 3
Direct
0.500 0.001 0.500
0.000 0.001 0.999
0.000 0.499 0.999
0.500 0.499 0.500
0.280 0.963 0.779
0.500 0.750 0.436
0.000 0.750 0.061
0.720 0.537 0.780
0.000 0.250 0.933
0.722 0.024 0.223
0.789 0.473 0.289
0.218 0.535 0.718
0.211 0.027 0.289
0.277 0.476 0.223
0.500 0.250 0.553
0.782 0.965 0.718
0.500 0.250 0.002
0.500 0.750 0.001
0.000 0.750 0.496
0.000 0.250 0.501



SrLa4TiCr4O15 (PBE+U, optimized geometry); space-group type = P1 (1)
1.0
5.555 0.000 0.000
-0.007 5.600 0.000
-0.062 -0.027 39.253
La Cr O Sr Ti
16 16 60 4 4
Direct
0.515 0.504 0.951
0.016 0.993 0.151
0.514 0.505 0.751
0.488 0.493 0.048
0.016 0.993 0.551
0.513 0.501 0.551
0.487 0.493 0.648
0.487 0.494 0.448
0.515 0.501 0.351
0.482 0.492 0.851
0.017 0.993 0.751
0.513 0.501 0.151
0.016 0.993 0.951
0.480 0.493 0.248
0.982 0.007 0.851
0.014 0.992 0.351
0.500 0.999 0.800
0.501 0.001 0.000
0.000 0.501 0.900
0.501 0.000 0.100
0.501 0.000 0.700
0.000 0.500 0.300
0.000 0.499 0.400
0.000 0.500 0.600
0.999 0.499 0.200
0.501 0.000 0.600
0.500 0.999 0.900
0.501 0.000 0.200
0.501 0.000 0.400
0.999 0.500 0.800
0.501 0.000 0.500
0.001 0.499 0.000
0.759 0.765 0.309
0.769 0.768 0.791
0.992 0.427 0.149
0.764 0.762 0.991
0.266 0.735 0.991
0.726 0.275 0.407
0.239 0.247 0.494
0.734 0.272 0.493
0.730 0.272 0.007
0.010 0.582 0.850
0.496 0.068 0.349
0.992 0.426 0.750
0.725 0.275 0.207
0.765 0.759 0.709
0.007 0.560 0.451
0.267 0.732 0.791
0.770 0.770 0.909
0.732 0.268 0.891
0.269 0.731 0.909
0.016 0.570 0.250
0.504 0.917 0.650
0.259 0.736 0.508
0.504 0.918 0.050
0.509 0.917 0.850
0.268 0.733 0.191
0.240 0.240 0.207
0.266 0.734 0.591
0.766 0.760 0.108
0.266 0.741 0.309
0.007 0.561 0.651
0.729 0.264 0.293
0.246 0.239 0.294
0.232 0.233 0.891
0.260 0.736 0.709
0.491 0.080 0.750
0.765 0.765 0.191
0.242 0.243 0.007
0.504 0.918 0.450
0.267 0.733 0.391
0.240 0.241 0.407
0.503 0.928 0.251
0.491 0.079 0.950
0.494 0.075 0.150
0.240 0.247 0.094
0.230 0.231 0.809
0.766 0.764 0.391
0.990 0.419 0.350
0.727 0.275 0.607
0.007 0.559 0.051
0.259 0.736 0.108
0.766 0.765 0.591
0.992 0.427 0.550
0.240 0.241 0.607
0.730 0.269 0.809
0.735 0.272 0.693
0.990 0.419 0.950
0.239 0.247 0.694
0.766 0.759 0.508
0.734 0.272 0.093
0.493 0.075 0.550
0.989 0.006 0.049
0.988 0.007 0.449
0.989 0.008 0.249
0.988 0.006 0.649
0.000 0.498 0.099
0.000 0.498 0.499
0.501 0.002 0.299
0.000 0.498 0.699



LaTaCrO6 (PBE+U, optimized geometry); space-group type = P1 (1)
1.0
5.495 0.000 0.000
-2.729 4.771 0.000
-2.737 -1.596 4.494
Ta La O Cr
1 1 6 1
Direct
0.000 0.989 0.506
0.496 0.738 0.756
0.500 0.744 0.313
0.050 0.760 0.777
0.943 0.710 0.213
0.503 0.234 0.710
0.065 0.290 0.773
0.949 0.207 0.209
0.994 0.487 0.003



LaTaZnCrO6 (PBE+U, optimized geometry); space-group type = Pc (7)
1.0
-3.604 -1.813 -4.063
1.920 -5.042 0.546
-3.993 -6.520 6.450
Ta O Cr La Zn
2 12 2 2 2
Direct
0.778 0.502 0.497
0.222 0.502 0.997
0.290 0.575 0.782
0.956 0.750 0.945
0.453 0.238 0.566
0.044 0.750 0.445
0.547 0.238 0.066
0.949 0.152 0.555
0.447 0.859 0.936
0.746 0.381 0.721
0.051 0.152 0.055
0.254 0.381 0.221
0.553 0.859 0.436
0.710 0.575 0.282
0.758 0.005 0.001
0.242 0.005 0.501
0.697 0.780 0.748
0.303 0.780 0.248
0.646 0.257 0.251
0.354 0.257 0.751



# La3Ti3CrO12

A geometry-optimized La3Ti3CrO12 structure (PBE+U, Materials Project).

```
La3Ti3CrO12
1.0
-0.009 5.529 7.842
-11.062 -0.003 0.011
5.520 -5.532 7.839
O Ti Cr La
48 12 4 12
Direct
0.384 0.189 0.633
0.394 0.194 0.149
0.118 0.289 0.127
0.894 0.443 0.649
0.380 0.912 0.099
0.379 0.469 0.371
0.615 0.812 0.866
0.127 0.783 0.624
0.371 0.971 0.876
0.615 0.312 0.866
0.118 0.789 0.127
0.134 0.335 0.405
0.880 0.162 0.599
0.097 0.044 0.857
0.871 0.721 0.376
0.871 0.221 0.376
0.127 0.283 0.624
0.627 0.533 0.124
0.618 0.539 0.627
0.627 0.033 0.124
0.115 0.562 0.365
0.152 0.792 0.870
0.879 0.219 0.871
0.880 0.662 0.599
0.394 0.694 0.149
0.347 0.934 0.612
0.847 0.184 0.112
0.379 0.969 0.371
0.884 0.439 0.133
0.115 0.062 0.366
0.597 0.294 0.357
0.634 0.085 0.905
0.134 0.835 0.405
0.894 0.943 0.649
0.652 0.042 0.370
0.371 0.471 0.876
0.097 0.544 0.857
0.884 0.939 0.133
0.618 0.039 0.627
0.597 0.794 0.357
0.380 0.412 0.099
0.847 0.684 0.112
0.634 0.585 0.905
0.152 0.292 0.870
0.384 0.689 0.633
0.652 0.542 0.370
0.879 0.719 0.871
0.347 0.434 0.612
0.751 0.132 0.256
0.251 0.382 0.756
0.994 0.249 0.498
0.494 0.499 0.998
0.494 0.999 0.998
0.508 0.006 0.508
0.008 0.256 0.008
0.251 0.882 0.756
0.994 0.749 0.498
0.008 0.756 0.008
0.751 0.632 0.256
0.508 0.506 0.508
0.750 0.625 0.748
0.250 0.374 0.248
0.750 0.125 0.748
0.250 0.874 0.248
0.390 0.693 0.870
0.863 0.441 0.878
0.363 0.691 0.378
0.863 0.941 0.878
0.620 0.318 0.130
0.363 0.191 0.378
0.390 0.193 0.870
0.620 0.818 0.130
0.120 0.568 0.630
0.890 0.443 0.370
0.120 0.068 0.630
0.890 0.943 0.370
```



LaTiCrO6 (PBE+U, optimized geometry); space-group type = Pc (7)
1.0
5.412 0.000 0.000
0.000 5.387 0.000
0.000 5.396 7.669
O Ti Cr La
12 2 2 2
Direct
0.975 0.731 0.017
0.751 0.790 0.246
0.534 0.283 0.977
0.744 0.203 0.750
0.521 0.751 0.523
0.017 0.258 0.979
0.479 0.751 0.023
0.983 0.258 0.479
0.249 0.790 0.746
0.025 0.731 0.517
0.466 0.283 0.477
0.256 0.203 0.250
0.253 0.488 0.003
0.747 0.488 0.503
0.741 0.989 0.005
0.259 0.989 0.505
0.771 0.746 0.750
0.229 0.746 0.250



La2Ti2CrO9 (PBE+U, optimized geometry); space-group type = P2_1 (4)
1.0
5.452 0.000 0.000
0.000 5.464 0.000
0.000 0.013 23.706
O La Cr Ti
36 8 4 8
Direct
0.244 0.002 0.740
0.503 0.291 0.335
0.252 0.501 0.098
0.271 0.523 0.755
0.752 0.499 0.902
0.744 0.998 0.260
0.250 0.001 0.910
0.224 0.032 0.259
0.767 0.483 0.429
0.002 0.726 0.000
0.756 0.486 0.570
0.267 0.517 0.571
0.263 0.510 0.244
0.744 0.995 0.414
0.751 0.001 0.910
0.005 0.704 0.338
0.997 0.798 0.498
0.251 0.999 0.090
0.998 0.787 0.173
0.256 0.514 0.430
0.750 0.999 0.090
0.502 0.274 0.000
0.222 0.033 0.413
0.998 0.792 0.826
0.722 0.967 0.587
0.497 0.202 0.502
0.763 0.490 0.756
0.724 0.968 0.741
0.771 0.477 0.245
0.751 0.499 0.098
0.505 0.296 0.662
0.498 0.213 0.827
0.498 0.208 0.174
0.251 0.501 0.902
0.003 0.709 0.665
0.244 0.005 0.586
0.004 0.246 0.164
0.009 0.250 0.501
0.509 0.750 0.499
0.003 0.249 0.836
0.503 0.751 0.164
0.490 0.757 0.667
0.504 0.754 0.836
0.990 0.243 0.333
0.497 0.250 0.253
0.997 0.750 0.747
0.000 0.750 0.415
0.500 0.250 0.585
0.999 0.749 0.588
0.499 0.251 0.747
0.499 0.251 0.412
0.502 0.249 0.924
0.002 0.751 0.924
0.002 0.751 0.076
0.502 0.249 0.076
0.999 0.749 0.253



LaVCrO6 (PBE+U, optimized geometry); space-group type = P1 (1)
1.0
5.298 0.000 0.000
-0.041 5.387 0.000
-2.637 -2.674 3.905
O Cr V La
6 1 1 1
Direct
0.765 0.249 0.469
0.719 0.772 0.478
0.233 0.269 0.002
0.774 0.736 0.987
0.242 0.757 0.544
0.276 0.224 0.499
0.524 0.522 0.534
0.030 0.033 0.550
0.280 0.779 0.038



LaVZnCrO6 (PBE+U, optimized geometry); space-group type = Pc (7)
1.0
-4.488 -0.691 3.011
0.535 -5.312 -0.422
4.874 -5.405 6.024
V O Zn La Cr
2 12 2 2 2
Direct
0.265 0.503 0.000
0.735 0.503 0.500
0.468 0.729 0.053
0.476 0.336 0.454
0.532 0.729 0.553
0.293 0.175 0.249
0.771 0.875 0.252
0.046 0.629 0.554
0.057 0.252 0.939
0.524 0.336 0.954
0.943 0.252 0.439
0.229 0.875 0.752
0.954 0.629 0.054
0.707 0.175 0.749
0.266 0.256 0.752
0.734 0.256 0.252
0.787 0.745 0.749
0.213 0.745 0.249
0.252 0.001 0.498
0.748 0.001 0.998



LaZnCrWO6 (PBE+U, optimized geometry); space-group type = F-43m (216); polymorph energy (0 for the lowest one) = 260 meV per atom
1.0
3.107 4.289 1.957
2.769 3.353 -3.601
-1.716 5.320 -0.792
O Zn Cr W La
6 1 1 1 1
Direct
0.257 0.743 0.257
0.257 0.257 0.743
0.743 0.257 0.257
0.257 0.743 0.743
0.743 0.743 0.257
0.743 0.257 0.743
0.000 0.000 0.000
0.250 0.250 0.250
0.500 0.500 0.500
0.750 0.750 0.750



LaZnCrWO6 (PBE+U, optimized geometry); space-group type = Pc (7); polymorph energy (0 for the lowest one) = 0 meV per atom
1.0
-2.380 5.118 0.778
-2.234 -1.746 4.653
4.202 0.661 8.510
La O W Cr Zn
2 12 2 2 2
Direct
0.289 0.766 0.247
0.711 0.766 0.747
0.224 0.338 0.254
0.053 0.750 0.453
0.776 0.338 0.754
0.277 0.618 0.750
0.025 0.140 0.064
0.449 0.255 0.555
0.975 0.140 0.564
0.557 0.878 0.435
0.551 0.255 0.055
0.443 0.878 0.935
0.947 0.750 0.953
0.723 0.618 0.250
0.765 0.499 0.500
0.235 0.499 0.000
0.247 0.001 0.500
0.753 0.001 0.000
0.728 0.252 0.244
0.272 0.252 0.744



Results for energy relative to the elements: -3.03, -3.24, -3.03, -2.88, -3.55, -2.85, -3.36, -2.60, -2.61, -2.19, -2.45 (in eV per atom, following the order of the records).